No. 1
Compound: DyAs
Source: the Materials Project
Functional: PBE
Structure: optimized geometry Values from VASP.

Geometry as Quantum ESPRESSO input:
```
&SYSTEM
  ibrav = 0, nat = 2, ntyp = 2
/
ATOMIC_SPECIES
Dy 162.50 Dy.upf
As 74.92 As.upf
ATOMIC_POSITIONS crystal
Dy 0.000 0.000 0.000
As 0.500 0.500 0.500
CELL_PARAMETERS angstrom
0.000 2.913 2.913
2.913 0.000 2.913
2.913 2.913 0.000
```

***

No. 2
! PBE Dy3As, optimized geometry; values from VASP
&SYSTEM
  ibrav = 0, nat = 4, ntyp = 2
/
ATOMIC_SPECIES
Dy 162.50 Dy.upf
As 74.92 As.upf
ATOMIC_POSITIONS crystal
Dy 0.000 0.000 0.000
Dy 0.250 0.750 0.500
Dy 0.750 0.250 0.500
As 0.500 0.500 0.000
CELL_PARAMETERS angstrom
-2.246 2.246 5.143
2.246 -2.246 5.143
2.246 2.246 -5.143
! Magnetic moment   0.0 μB per formula unit

***

Result set for DFT total energy: -6.16; -5.02 eV per atom, one per record in the order listed.
Result set for E_form: -1.53; -0.40 eV/atom, one per record in the order listed.